[1]
Here is a relaxed RbAg5P2S8 crystal from the Materials Project. Energies are from PBE.

Properties
As for the formation energy: -569.2 meV/atom. For the size of the total moment, the calculation gives 0.01 μB/f.u.

The structure in CIF format:
```
data_RbAg5P2S8
_chemical_formula_sum 'Rb8 Ag40 P16 S64'
_cell_length_a 12.759
_cell_length_b 12.801
_cell_length_c 18.027
_cell_angle_alpha 90.00
_cell_angle_beta 90.00
_cell_angle_gamma 90.00
_space_group_name_H-M_alt 'P 1'
_space_group_IT_number 1
loop_
_space_group_symop_operation_xyz
'x,y,z'
loop_
_atom_site_label
_atom_site_type_symbol
_atom_site_fract_x
_atom_site_fract_y
_atom_site_fract_z
_atom_site_occupancy
Rb1 Rb 0.037 0.235 0.249 1
Rb2 Rb 0.037 0.265 0.749 1
Rb3 Rb 0.463 0.735 0.249 1
Rb4 Rb 0.463 0.765 0.749 1
Rb5 Rb 0.537 0.235 0.251 1
Rb6 Rb 0.537 0.265 0.751 1
Rb7 Rb 0.963 0.735 0.251 1
Rb8 Rb 0.963 0.765 0.751 1
Ag1 Ag 0.005 0.019 0.870 1
Ag2 Ag 0.005 0.481 0.370 1
Ag3 Ag 0.017 0.521 0.885 1
Ag4 Ag 0.017 0.979 0.385 1
Ag5 Ag 0.195 0.562 0.532 1
Ag6 Ag 0.195 0.938 0.032 1
Ag7 Ag 0.241 0.747 0.882 1
Ag8 Ag 0.241 0.753 0.382 1
Ag9 Ag 0.242 0.736 0.118 1
Ag10 Ag 0.242 0.764 0.618 1
Ag11 Ag 0.258 0.236 0.118 1
Ag12 Ag 0.258 0.264 0.618 1
Ag13 Ag 0.259 0.247 0.882 1
Ag14 Ag 0.259 0.253 0.382 1
Ag15 Ag 0.305 0.062 0.532 1
Ag16 Ag 0.305 0.438 0.032 1
Ag17 Ag 0.483 0.021 0.885 1
Ag18 Ag 0.483 0.479 0.385 1
Ag19 Ag 0.495 0.519 0.870 1
Ag20 Ag 0.495 0.981 0.370 1
Ag21 Ag 0.505 0.019 0.630 1
Ag22 Ag 0.505 0.481 0.130 1
Ag23 Ag 0.517 0.521 0.615 1
Ag24 Ag 0.517 0.979 0.115 1
Ag25 Ag 0.695 0.562 0.968 1
Ag26 Ag 0.695 0.938 0.468 1
Ag27 Ag 0.741 0.747 0.618 1
Ag28 Ag 0.741 0.753 0.118 1
Ag29 Ag 0.742 0.736 0.382 1
Ag30 Ag 0.742 0.764 0.882 1
Ag31 Ag 0.758 0.236 0.382 1
Ag32 Ag 0.758 0.264 0.882 1
Ag33 Ag 0.759 0.247 0.618 1
Ag34 Ag 0.759 0.253 0.118 1
Ag35 Ag 0.805 0.062 0.968 1
Ag36 Ag 0.805 0.438 0.468 1
Ag37 Ag 0.983 0.021 0.615 1
Ag38 Ag 0.983 0.479 0.115 1
Ag39 Ag 0.995 0.519 0.630 1
Ag40 Ag 0.995 0.981 0.130 1
P1 P 0.019 0.245 0.997 1
P2 P 0.019 0.255 0.497 1
P3 P 0.247 0.522 0.749 1
P4 P 0.247 0.978 0.249 1
P5 P 0.253 0.022 0.749 1
P6 P 0.253 0.478 0.249 1
P7 P 0.481 0.745 0.997 1
P8 P 0.481 0.755 0.497 1
P9 P 0.519 0.245 0.503 1
P10 P 0.519 0.255 0.003 1
P11 P 0.747 0.522 0.751 1
P12 P 0.747 0.978 0.251 1
P13 P 0.753 0.022 0.751 1
P14 P 0.753 0.478 0.251 1
P15 P 0.981 0.745 0.503 1
P16 P 0.981 0.755 0.003 1
S1 S 0.066 0.665 0.075 1
S2 S 0.066 0.835 0.575 1
S3 S 0.082 0.658 0.436 1
S4 S 0.082 0.842 0.936 1
S5 S 0.095 0.503 0.243 1
S6 S 0.095 0.997 0.743 1
S7 S 0.109 0.154 0.562 1
S8 S 0.109 0.346 0.062 1
S9 S 0.121 0.140 0.947 1
S10 S 0.121 0.360 0.447 1
S11 S 0.182 0.046 0.152 1
S12 S 0.182 0.454 0.652 1
S13 S 0.191 0.048 0.345 1
S14 S 0.191 0.452 0.845 1
S15 S 0.205 0.677 0.749 1
S16 S 0.205 0.823 0.249 1
S17 S 0.295 0.177 0.749 1
S18 S 0.295 0.323 0.249 1
S19 S 0.309 0.548 0.345 1
S20 S 0.309 0.952 0.845 1
S21 S 0.318 0.546 0.152 1
S22 S 0.318 0.954 0.652 1
S23 S 0.379 0.640 0.947 1
S24 S 0.379 0.860 0.447 1
S25 S 0.391 0.654 0.562 1
S26 S 0.391 0.846 0.062 1
S27 S 0.405 0.003 0.243 1
S28 S 0.405 0.497 0.743 1
S29 S 0.418 0.158 0.436 1
S30 S 0.418 0.342 0.936 1
S31 S 0.434 0.165 0.075 1
S32 S 0.434 0.335 0.575 1
S33 S 0.566 0.665 0.425 1
S34 S 0.566 0.835 0.925 1
S35 S 0.582 0.658 0.064 1
S36 S 0.582 0.842 0.564 1
S37 S 0.595 0.503 0.257 1
S38 S 0.595 0.997 0.757 1
S39 S 0.609 0.154 0.938 1
S40 S 0.609 0.346 0.438 1
S41 S 0.621 0.140 0.553 1
S42 S 0.621 0.360 0.053 1
S43 S 0.682 0.046 0.348 1
S44 S 0.682 0.454 0.848 1
S45 S 0.691 0.048 0.155 1
S46 S 0.691 0.452 0.655 1
S47 S 0.705 0.677 0.751 1
S48 S 0.705 0.823 0.251 1
S49 S 0.795 0.177 0.751 1
S50 S 0.795 0.323 0.251 1
S51 S 0.809 0.548 0.155 1
S52 S 0.809 0.952 0.655 1
S53 S 0.818 0.546 0.348 1
S54 S 0.818 0.954 0.848 1
S55 S 0.879 0.640 0.553 1
S56 S 0.879 0.860 0.053 1
S57 S 0.891 0.654 0.938 1
S58 S 0.891 0.846 0.438 1
S59 S 0.905 0.003 0.257 1
S60 S 0.905 0.497 0.757 1
S61 S 0.918 0.158 0.064 1
S62 S 0.918 0.342 0.564 1
S63 S 0.934 0.165 0.425 1
S64 S 0.934 0.335 0.925 1
```



[2]
Here is a relaxed K2SnPCO7 crystal from the Materials Project. Energies are from PBE.

Properties
As for the formation energy: -2234.1 meV/atom. For the size of the total moment, the calculation gives 0.00 μB/f.u.

The structure in CIF format:
```
data_K2SnPCO7
_chemical_formula_sum 'K4 Sn2 P2 C2 O14'
_cell_length_a 5.826
_cell_length_b 7.063
_cell_length_c 9.921
_cell_angle_alpha 90.00
_cell_angle_beta 93.47
_cell_angle_gamma 90.00
_space_group_name_H-M_alt 'P 1'
_space_group_IT_number 1
loop_
_space_group_symop_operation_xyz
'x,y,z'
loop_
_atom_site_label
_atom_site_type_symbol
_atom_site_fract_x
_atom_site_fract_y
_atom_site_fract_z
_atom_site_occupancy
K1 K 0.247 0.014 0.228 1
K2 K 0.247 0.486 0.228 1
K3 K 0.753 0.514 0.772 1
K4 K 0.753 0.986 0.772 1
Sn1 Sn 0.219 0.250 0.632 1
Sn2 Sn 0.781 0.750 0.368 1
P1 P 0.283 0.750 0.576 1
P2 P 0.717 0.250 0.424 1
C1 C 0.275 0.250 0.904 1
C2 C 0.725 0.750 0.096 1
O1 O 0.073 0.250 0.833 1
O2 O 0.159 0.750 0.431 1
O3 O 0.213 0.572 0.657 1
O4 O 0.213 0.928 0.657 1
O5 O 0.290 0.250 0.031 1
O6 O 0.451 0.250 0.439 1
O7 O 0.455 0.250 0.829 1
O8 O 0.545 0.750 0.171 1
O9 O 0.549 0.750 0.561 1
O10 O 0.710 0.750 0.969 1
O11 O 0.787 0.072 0.343 1
O12 O 0.787 0.428 0.343 1
O13 O 0.841 0.250 0.569 1
O14 O 0.927 0.750 0.167 1
```



[3]
Here is a relaxed Zr3Al4C6 crystal from the Materials Project. Energies are from PBE.

Properties
As for the formation energy: -419.1 meV/atom. For the size of the total moment, the calculation gives 0.02 μB/f.u.

The structure in CIF format:
```
data_Zr3Al4C6
_chemical_formula_sum 'Zr3 Al4 C6'
_cell_length_a 16.549
_cell_length_b 16.549
_cell_length_c 16.549
_cell_angle_alpha 11.64
_cell_angle_beta 11.64
_cell_angle_gamma 11.64
_space_group_name_H-M_alt 'P 1'
_space_group_IT_number 1
loop_
_space_group_symop_operation_xyz
'x,y,z'
loop_
_atom_site_label
_atom_site_type_symbol
_atom_site_fract_x
_atom_site_fract_y
_atom_site_fract_z
_atom_site_occupancy
Zr1 Zr 0.000 0.000 0.000 1
Zr2 Zr 0.388 0.388 0.388 1
Zr3 Zr 0.612 0.612 0.612 1
Al1 Al 0.148 0.148 0.148 1
Al2 Al 0.231 0.231 0.231 1
Al3 Al 0.769 0.769 0.769 1
Al4 Al 0.852 0.852 0.852 1
C1 C 0.084 0.084 0.084 1
C2 C 0.192 0.192 0.192 1
C3 C 0.305 0.305 0.305 1
C4 C 0.695 0.695 0.695 1
C5 C 0.808 0.808 0.808 1
C6 C 0.916 0.916 0.916 1
```



[4]
Here is a relaxed DyF3 crystal from the Materials Project. Energies are from PBE.

Properties
As for the formation energy: -4426.9 meV/atom.

The structure in CIF format:
```
data_DyF3
_chemical_formula_sum 'Dy6 F18'
_cell_length_a 6.837
_cell_length_b 6.837
_cell_length_c 7.023
_cell_angle_alpha 90.00
_cell_angle_beta 90.00
_cell_angle_gamma 120.00
_space_group_name_H-M_alt 'P 1'
_space_group_IT_number 1
loop_
_space_group_symop_operation_xyz
'x,y,z'
loop_
_atom_site_label
_atom_site_type_symbol
_atom_site_fract_x
_atom_site_fract_y
_atom_site_fract_z
_atom_site_occupancy
Dy1 Dy 0.000 0.345 0.250 1
Dy2 Dy 0.000 0.655 0.750 1
Dy3 Dy 0.345 0.000 0.250 1
Dy4 Dy 0.345 0.345 0.750 1
Dy5 Dy 0.655 0.000 0.750 1
Dy6 Dy 0.655 0.655 0.250 1
F1 F 0.000 0.000 0.250 1
F2 F 0.000 0.000 0.750 1
F3 F 0.067 0.374 0.921 1
F4 F 0.067 0.693 0.421 1
F5 F 0.307 0.374 0.421 1
F6 F 0.307 0.933 0.921 1
F7 F 0.333 0.667 0.184 1
F8 F 0.333 0.667 0.684 1
F9 F 0.374 0.067 0.579 1
F10 F 0.374 0.307 0.079 1
F11 F 0.626 0.693 0.921 1
F12 F 0.626 0.933 0.421 1
F13 F 0.667 0.333 0.316 1
F14 F 0.667 0.333 0.816 1
F15 F 0.693 0.067 0.079 1
F16 F 0.693 0.626 0.579 1
F17 F 0.933 0.307 0.579 1
F18 F 0.933 0.626 0.079 1
```



[5]
Here is a relaxed Sm3Sb4Au3 crystal from the Materials Project. Energies are from PBE.

Properties
As for the formation energy: -859.1 meV/atom.

The structure in CIF format:
```
data_Sm3Sb4Au3
_chemical_formula_sum 'Sm6 Sb8 Au6'
_cell_length_a 8.712
_cell_length_b 8.712
_cell_length_c 8.712
_cell_angle_alpha 109.47
_cell_angle_beta 109.47
_cell_angle_gamma 109.47
_space_group_name_H-M_alt 'P 1'
_space_group_IT_number 1
loop_
_space_group_symop_operation_xyz
'x,y,z'
loop_
_atom_site_label
_atom_site_type_symbol
_atom_site_fract_x
_atom_site_fract_y
_atom_site_fract_z
_atom_site_occupancy
Sm1 Sm 0.125 0.750 0.875 1
Sm2 Sm 0.250 0.625 0.375 1
Sm3 Sm 0.375 0.250 0.625 1
Sm4 Sm 0.625 0.375 0.250 1
Sm5 Sm 0.750 0.875 0.125 1
Sm6 Sm 0.875 0.125 0.750 1
Sb1 Sb 0.000 0.322 0.500 1
Sb2 Sb 0.000 0.822 0.500 1
Sb3 Sb 0.178 0.178 0.178 1
Sb4 Sb 0.322 0.500 0.000 1
Sb5 Sb 0.500 0.000 0.322 1
Sb6 Sb 0.500 0.000 0.822 1
Sb7 Sb 0.678 0.678 0.678 1
Sb8 Sb 0.822 0.500 0.000 1
Au1 Au 0.125 0.875 0.250 1
Au2 Au 0.250 0.125 0.875 1
Au3 Au 0.375 0.625 0.750 1
Au4 Au 0.625 0.750 0.375 1
Au5 Au 0.750 0.375 0.625 1
Au6 Au 0.875 0.250 0.125 1
```



[6]
Here is a relaxed Rb3SmCl6 crystal from the Materials Project. Energies are from PBE.

Properties
As for the formation energy: -2432.5 meV/atom. For the size of the total moment, the calculation gives 0.01 μB/f.u.

The structure in CIF format:
```
data_Rb3SmCl6
_chemical_formula_sum 'Rb3 Sm1 Cl6'
_cell_length_a 8.227
_cell_length_b 8.227
_cell_length_c 8.227
_cell_angle_alpha 60.00
_cell_angle_beta 60.00
_cell_angle_gamma 60.00
_space_group_name_H-M_alt 'P 1'
_space_group_IT_number 1
loop_
_space_group_symop_operation_xyz
'x,y,z'
loop_
_atom_site_label
_atom_site_type_symbol
_atom_site_fract_x
_atom_site_fract_y
_atom_site_fract_z
_atom_site_occupancy
Rb1 Rb 0.000 0.000 0.000 1
Rb2 Rb 0.250 0.250 0.250 1
Rb3 Rb 0.750 0.750 0.750 1
Sm1 Sm 0.500 0.500 0.500 1
Cl1 Cl 0.268 0.268 0.732 1
Cl2 Cl 0.268 0.732 0.268 1
Cl3 Cl 0.268 0.732 0.732 1
Cl4 Cl 0.732 0.268 0.268 1
Cl5 Cl 0.732 0.268 0.732 1
Cl6 Cl 0.732 0.732 0.268 1
```



[7]
Here is a relaxed Tb4Ga21Ni10 crystal from the Materials Project. Energies are from PBE.

Properties
As for the formation energy: -509.7 meV/atom. For the size of the total moment, the calculation gives 0.00 μB/f.u.

The structure in CIF format:
```
data_Tb4Ga21Ni10
_chemical_formula_sum 'Tb4 Ga21 Ni10'
_cell_length_a 10.624
_cell_length_b 10.624
_cell_length_c 15.453
_cell_angle_alpha 123.23
_cell_angle_beta 123.23
_cell_angle_gamma 22.13
_space_group_name_H-M_alt 'P 1'
_space_group_IT_number 1
loop_
_space_group_symop_operation_xyz
'x,y,z'
loop_
_atom_site_label
_atom_site_type_symbol
_atom_site_fract_x
_atom_site_fract_y
_atom_site_fract_z
_atom_site_occupancy
Tb1 Tb 0.120 0.120 0.334 1
Tb2 Tb 0.229 0.229 0.823 1
Tb3 Tb 0.771 0.771 0.177 1
Tb4 Tb 0.880 0.880 0.666 1
Ga1 Ga 0.006 0.006 0.090 1
Ga2 Ga 0.065 0.065 0.796 1
Ga3 Ga 0.116 0.116 0.552 1
Ga4 Ga 0.201 0.201 0.003 1
Ga5 Ga 0.248 0.248 0.295 1
Ga6 Ga 0.297 0.297 0.497 1
Ga7 Ga 0.373 0.373 0.804 1
Ga8 Ga 0.386 0.386 0.298 1
Ga9 Ga 0.398 0.398 0.003 1
Ga10 Ga 0.460 0.460 0.631 1
Ga11 Ga 0.500 0.500 0.500 1
Ga12 Ga 0.540 0.540 0.369 1
Ga13 Ga 0.602 0.602 0.997 1
Ga14 Ga 0.614 0.614 0.702 1
Ga15 Ga 0.627 0.627 0.196 1
Ga16 Ga 0.703 0.703 0.503 1
Ga17 Ga 0.752 0.752 0.705 1
Ga18 Ga 0.799 0.799 0.997 1
Ga19 Ga 0.884 0.884 0.448 1
Ga20 Ga 0.935 0.935 0.204 1
Ga21 Ga 0.994 0.994 0.910 1
Ni1 Ni 0.024 0.024 0.607 1
Ni2 Ni 0.133 0.133 0.105 1
Ni3 Ni 0.249 0.249 0.614 1
Ni4 Ni 0.347 0.347 0.114 1
Ni5 Ni 0.498 0.498 0.815 1
Ni6 Ni 0.502 0.502 0.185 1
Ni7 Ni 0.653 0.653 0.886 1
Ni8 Ni 0.751 0.751 0.386 1
Ni9 Ni 0.867 0.867 0.895 1
Ni10 Ni 0.976 0.976 0.393 1
```



[8]
Here is a relaxed SmMn2 crystal from the Materials Project. Energies are from PBE.

Properties
As for the formation energy: 146.0 meV/atom. For the size of the total moment, the calculation gives 2.44 μB/f.u.

The structure in CIF format:
```
data_SmMn2
_chemical_formula_sum 'Sm4 Mn8'
_cell_length_a 5.180
_cell_length_b 5.180
_cell_length_c 8.971
_cell_angle_alpha 90.00
_cell_angle_beta 90.00
_cell_angle_gamma 115.13
_space_group_name_H-M_alt 'P 1'
_space_group_IT_number 1
loop_
_space_group_symop_operation_xyz
'x,y,z'
loop_
_atom_site_label
_atom_site_type_symbol
_atom_site_fract_x
_atom_site_fract_y
_atom_site_fract_z
_atom_site_occupancy
Sm1 Sm 0.165 0.835 0.564 1
Sm2 Sm 0.165 0.835 0.936 1
Sm3 Sm 0.835 0.165 0.064 1
Sm4 Sm 0.835 0.165 0.436 1
Mn1 Mn 0.165 0.349 0.750 1
Mn2 Mn 0.341 0.659 0.250 1
Mn3 Mn 0.349 0.165 0.250 1
Mn4 Mn 0.500 0.500 0.000 1
Mn5 Mn 0.500 0.500 0.500 1
Mn6 Mn 0.651 0.835 0.750 1
Mn7 Mn 0.659 0.341 0.750 1
Mn8 Mn 0.835 0.651 0.250 1
```